DFT (PBE) results for crystalline KMo9S9 at its relaxed geometry.

Calculated values
* calculated volume: 903.4 Å³/cell
* final energy: -7.79 eV/atom
* ΔH_f (0 K): -0.8759 eV per atom

Cell lengths 8.8972, 8.8972, 13.1783 Å; angles 90.00, 90.00, 120.00 degrees
With the nearest neighbours (Å) after each atom.
Positions (direct):
K1 0.3333 0.6667 0.2500  9 S 3.42-3.44, 3 Mo 3.71
K2 0.6667 0.3333 0.7500  9 S 3.42-3.44, 3 Mo 3.71
Mo1 0.0316 0.1902 0.2500  4 S 2.49-2.55, 6 Mo 2.70-2.72
Mo2 0.0327 0.1928 0.5833  4 S 2.49-2.55, 6 Mo 2.70-2.75
Mo3 0.0327 0.1928 0.9167  4 S 2.49-2.55, 6 Mo 2.70-2.75
Mo4 0.1587 0.9684 0.2500  4 S 2.49-2.55, 6 Mo 2.70-2.72
Mo5 0.1601 0.9673 0.5833  4 S 2.49-2.55, 6 Mo 2.70-2.75
Mo6 0.1601 0.9673 0.9167  4 S 2.49-2.55, 6 Mo 2.70-2.75
Mo7 0.1902 0.1587 0.7500  4 S 2.49-2.55, 6 Mo 2.70-2.72
Mo8 0.1928 0.1601 0.0833  4 S 2.49-2.55, 6 Mo 2.70-2.75
Mo9 0.1928 0.1601 0.4167  4 S 2.49-2.55, 6 Mo 2.70-2.75
Mo10 0.8072 0.8399 0.5833  4 S 2.49-2.55, 6 Mo 2.70-2.75
Mo11 0.8072 0.8399 0.9167  4 S 2.49-2.55, 6 Mo 2.70-2.75
Mo12 0.8098 0.8413 0.2500  4 S 2.49-2.55, 6 Mo 2.70-2.72
Mo13 0.8399 0.0327 0.0833  4 S 2.49-2.55, 6 Mo 2.70-2.75
Mo14 0.8399 0.0327 0.4167  4 S 2.49-2.55, 6 Mo 2.70-2.75
Mo15 0.8413 0.0316 0.7500  4 S 2.49-2.55, 6 Mo 2.70-2.72
Mo16 0.9673 0.8072 0.0833  4 S 2.49-2.55, 6 Mo 2.70-2.75
Mo17 0.9673 0.8072 0.4167  4 S 2.49-2.55, 6 Mo 2.70-2.75
Mo18 0.9684 0.8098 0.7500  4 S 2.49-2.55, 6 Mo 2.70-2.72
S1 0.0586 0.3489 0.7500  4 Mo 2.49-2.55
S2 0.0599 0.3491 0.0839  4 Mo 2.49-2.55
S3 0.0599 0.3491 0.4161  4 Mo 2.49-2.55
S4 0.2892 0.9401 0.0839  4 Mo 2.49-2.55
S5 0.2892 0.9401 0.4161  4 Mo 2.49-2.55
S6 0.2903 0.9414 0.7500  4 Mo 2.49-2.55
S7 0.3491 0.2892 0.5839  4 Mo 2.49-2.55
S8 0.3491 0.2892 0.9161  4 Mo 2.49-2.55
S9 0.3489 0.2903 0.2500  4 Mo 2.49-2.55
S10 0.6511 0.7097 0.7500  4 Mo 2.49-2.55
S11 0.6509 0.7108 0.0839  4 Mo 2.49-2.55
S12 0.6509 0.7108 0.4161  4 Mo 2.49-2.55
S13 0.7097 0.0586 0.2500  4 Mo 2.49-2.55
S14 0.7108 0.0599 0.5839  4 Mo 2.49-2.55
S15 0.7108 0.0599 0.9161  4 Mo 2.49-2.55
S16 0.9401 0.6509 0.5839  4 Mo 2.49-2.55
S17 0.9401 0.6509 0.9161  4 Mo 2.49-2.55
S18 0.9414 0.6511 0.2500  4 Mo 2.49-2.55